# 1
{"formula": "TbVO2", "functional": "PBE with a Hubbard U", "state": "optimized geometry", "dft_energy_ev_per_cell": -122.52, "relative_energy_mev_per_atom": 0, "magnetic_moment_mub_per_atom": 0.75, "spacegroup": "I4_1/amd", "formation_energy_ev_per_atom": -2.522, "cell": [[-3.109, 3.109, 5.865], [3.109, -3.109, 5.865], [3.109, 3.109, -5.865]], "species": ["Tb", "Tb", "Tb", "Tb", "V", "V", "V", "V", "O", "O", "O", "O", "O", "O", "O", "O"], "fractional_positions": [[0.000, 0.000, 0.000], [0.000, 0.000, 0.500], [0.000, 0.500, 0.000], [0.500, 0.000, 0.500], [0.000, 0.500, 0.500], [0.500, 0.000, 0.000], [0.500, 0.500, 0.000], [0.500, 0.500, 0.500], [0.201, 0.217, 0.516], [0.201, 0.684, 0.984], [0.217, 0.201, 0.016], [0.316, 0.799, 0.516], [0.684, 0.201, 0.484], [0.783, 0.799, 0.984], [0.799, 0.316, 0.016], [0.799, 0.783, 0.484]]}

=====

# 2
{"formula": "NaNiO2", "functional": "PBE with a Hubbard U", "state": "optimized geometry", "dft_energy_ev_per_cell": -73.45, "spacegroup": "P-1", "formation_energy_ev_per_atom": -1.320, "cell": [[3.039, 0.000, 0.000], [-0.201, 5.053, 0.000], [-1.212, -2.477, 10.668]], "species": ["Na", "Na", "Na", "Na", "Ni", "Ni", "Ni", "Ni", "O", "O", "O", "O", "O", "O", "O", "O"], "fractional_positions": [[0.097, 0.471, 0.250], [0.376, 0.030, 0.750], [0.624, 0.970, 0.250], [0.903, 0.529, 0.750], [0.000, 0.000, 0.000], [0.250, 0.250, 0.500], [0.500, 0.500, 0.000], [0.750, 0.750, 0.500], [0.080, 0.729, 0.097], [0.168, 0.882, 0.402], [0.334, 0.618, 0.598], [0.494, 0.229, 0.098], [0.506, 0.771, 0.902], [0.666, 0.382, 0.402], [0.832, 0.118, 0.598], [0.920, 0.271, 0.903]]}

=====

# 3
{"formula": "Sm2Fe2Se2O3", "functional": "PBE with a Hubbard U", "state": "optimized geometry", "dft_energy_ev_per_cell": -61.38, "magnetic_moment_mub_per_atom": 0.89, "spacegroup": "I4/mmm", "formation_energy_ev_per_atom": -2.193, "cell": [[-2.027, 2.027, 9.394], [2.027, -2.027, 9.394], [2.027, 2.027, -9.394]], "species": ["Sm", "Sm", "Fe", "Fe", "Se", "Se", "O", "O", "O"], "fractional_positions": [[0.190, 0.190, 0.000], [0.810, 0.810, 0.000], [0.000, 0.500, 0.500], [0.500, 0.000, 0.500], [0.399, 0.399, 0.000], [0.601, 0.601, 0.000], [0.000, 0.000, 0.000], [0.250, 0.750, 0.500], [0.750, 0.250, 0.500]]}

=====

# 4
{"formula": "Li5Cr3FeO8", "functional": "PBE with a Hubbard U", "state": "optimized geometry", "dft_energy_ev_per_cell": -439.86, "relative_energy_mev_per_atom": 0, "magnetic_moment_mub_per_atom": 0.76, "spacegroup": "P1", "formation_energy_ev_per_atom": -2.186, "cell": [[8.450, 0.000, 0.000], [0.007, 8.601, 0.000], [0.006, 0.052, 8.612]], "species": ["Li", "Li", "Li", "Li", "Li", "Li", "Li", "Li", "Li", "Li", "Li", "Li", "Li", "Li", "Li", "Li", "Li", "Li", "Li", "Li", "Cr", "Cr", "Cr", "Cr", "Cr", "Cr", "Cr", "Cr", "Cr", "Cr", "Cr", "Cr", "Fe", "Fe", "Fe", "Fe", "O", "O", "O", "O", "O", "O", "O", "O", "O", "O", "O", "O", "O", "O", "O", "O", "O", "O", "O", "O", "O", "O", "O", "O", "O", "O", "O", "O", "O", "O", "O", "O"], "fractional_positions": [[0.000, 0.000, 0.000], [0.006, 0.210, 0.812], [0.162, 0.675, 0.429], [0.217, 0.487, 0.236], [0.223, 0.238, 0.024], [0.231, 0.025, 0.773], [0.277, 0.828, 0.581], [0.439, 0.450, 0.053], [0.448, 0.257, 0.263], [0.467, 0.028, 0.536], [0.478, 0.770, 0.741], [0.574, 0.614, 0.913], [0.653, 0.066, 0.329], [0.690, 0.256, 0.495], [0.722, 0.519, 0.742], [0.754, 0.764, 0.004], [0.802, 0.928, 0.187], [0.870, 0.349, 0.648], [0.964, 0.520, 0.494], [0.979, 0.725, 0.233], [0.221, 0.255, 0.512], [0.223, 0.502, 0.761], [0.225, 0.751, 0.007], [0.472, 0.502, 0.511], [0.473, 0.000, 0.011], [0.473, 0.749, 0.258], [0.722, 0.500, 0.260], [0.723, 0.002, 0.763], [0.723, 0.248, 0.015], [0.973, 0.005, 0.514], [0.973, 0.251, 0.263], [0.973, 0.752, 0.761], [0.223, 0.999, 0.263], [0.475, 0.257, 0.766], [0.723, 0.756, 0.507], [0.971, 0.496, 0.005], [0.211, 0.256, 0.273], [0.214, 0.741, 0.771], [0.215, 0.021, 0.520], [0.223, 0.265, 0.751], [0.223, 0.511, 0.997], [0.231, 0.492, 0.523], [0.231, 0.743, 0.241], [0.234, 0.990, 0.007], [0.461, 0.264, 0.507], [0.465, 0.762, 0.021], [0.468, 0.510, 0.748], [0.468, 0.986, 0.249], [0.472, 0.741, 0.498], [0.481, 0.235, 0.019], [0.481, 0.510, 0.273], [0.482, 0.001, 0.771], [0.716, 0.008, 0.001], [0.717, 0.486, 0.022], [0.718, 0.492, 0.504], [0.718, 0.736, 0.253], [0.728, 0.241, 0.778], [0.728, 0.758, 0.769], [0.729, 0.010, 0.527], [0.729, 0.261, 0.254], [0.964, 0.492, 0.261], [0.965, 0.244, 0.028], [0.965, 0.990, 0.753], [0.974, 0.764, 0.522], [0.977, 0.014, 0.278], [0.977, 0.514, 0.754], [0.981, 0.242, 0.500], [0.984, 0.756, 0.999]]}

=====

# 5
{"formula": "Li6Co5O10", "functional": "PBE with a Hubbard U", "state": "optimized geometry", "dft_energy_ev_per_cell": -115.92, "relative_energy_mev_per_atom": 0, "magnetic_moment_mub_per_atom": 0.43, "spacegroup": "P-1", "formation_energy_ev_per_atom": -1.643, "cell": [[5.445, 0.000, 0.000], [2.437, 5.859, 0.000], [1.885, 1.194, 8.047]], "species": ["Li", "Li", "Li", "Li", "Li", "Li", "Co", "Co", "Co", "Co", "Co", "O", "O", "O", "O", "O", "O", "O", "O", "O", "O"], "fractional_positions": [[0.046, 0.169, 0.061], [0.046, 0.738, 0.252], [0.050, 0.296, 0.428], [0.950, 0.704, 0.572], [0.954, 0.262, 0.748], [0.954, 0.831, 0.939], [0.494, 0.109, 0.703], [0.498, 0.709, 0.906], [0.500, 0.500, 0.500], [0.502, 0.291, 0.094], [0.506, 0.891, 0.297], [0.241, 0.993, 0.860], [0.244, 0.359, 0.594], [0.255, 0.586, 0.052], [0.255, 0.761, 0.411], [0.256, 0.167, 0.222], [0.744, 0.833, 0.778], [0.745, 0.239, 0.589], [0.745, 0.414, 0.948], [0.756, 0.641, 0.406], [0.759, 0.007, 0.140]]}

=====

# 6
{"formula": "LaFeO3", "functional": "PBE with a Hubbard U", "state": "optimized geometry", "dft_energy_ev_per_cell": -150.66, "magnetic_moment_mub_per_atom": 1.00, "spacegroup": "P2_1", "formation_energy_ev_per_atom": -2.746, "cell": [[4.046, 0.000, 0.000], [0.000, 11.065, 0.000], [-0.003, 0.000, 6.760]], "species": ["La", "La", "La", "La", "Fe", "Fe", "Fe", "Fe", "O", "O", "O", "O", "O", "O", "O", "O", "O", "O", "O", "O"], "fractional_positions": [[0.000, 0.000, 0.000], [0.000, 0.500, 0.000], [0.500, 0.000, 0.500], [0.500, 0.500, 0.500], [0.074, 0.250, 0.689], [0.425, 0.250, 0.189], [0.575, 0.750, 0.811], [0.926, 0.750, 0.311], [0.024, 0.584, 0.334], [0.024, 0.916, 0.334], [0.083, 0.250, 0.985], [0.417, 0.250, 0.485], [0.476, 0.584, 0.834], [0.476, 0.916, 0.834], [0.524, 0.084, 0.166], [0.524, 0.416, 0.166], [0.583, 0.750, 0.515], [0.917, 0.750, 0.015], [0.976, 0.084, 0.666], [0.976, 0.416, 0.666]]}

=====

# 7
{"formula": "MnSO8", "functional": "PBE with a Hubbard U", "state": "optimized geometry", "dft_energy_ev_per_cell": -216.99, "magnetic_moment_mub_per_atom": 0.31, "spacegroup": "P2_1/c", "formation_energy_ev_per_atom": -0.853, "cell": [[5.833, 0.000, 0.000], [0.000, 15.500, 0.000], [-4.403, 0.000, 8.396]], "species": ["Mn", "Mn", "Mn", "Mn", "S", "S", "S", "S", "O", "O", "O", "O", "O", "O", "O", "O", "O", "O", "O", "O", "O", "O", "O", "O", "O", "O", "O", "O", "O", "O", "O", "O", "O", "O", "O", "O", "O", "O", "O", "O"], "fractional_positions": [[0.240, 0.141, 0.285], [0.240, 0.359, 0.785], [0.760, 0.641, 0.215], [0.760, 0.859, 0.715], [0.398, 0.605, 0.687], [0.398, 0.895, 0.187], [0.602, 0.105, 0.813], [0.602, 0.395, 0.313], [0.033, 0.079, 0.310], [0.033, 0.421, 0.810], [0.108, 0.237, 0.262], [0.108, 0.263, 0.762], [0.249, 0.556, 0.753], [0.249, 0.944, 0.253], [0.263, 0.114, 0.129], [0.263, 0.386, 0.629], [0.321, 0.088, 0.723], [0.321, 0.412, 0.223], [0.325, 0.695, 0.696], [0.325, 0.805, 0.196], [0.334, 0.577, 0.523], [0.334, 0.923, 0.023], [0.483, 0.639, 0.062], [0.483, 0.861, 0.562], [0.517, 0.139, 0.438], [0.517, 0.361, 0.938], [0.666, 0.077, 0.977], [0.666, 0.423, 0.477], [0.675, 0.195, 0.804], [0.675, 0.305, 0.304], [0.679, 0.588, 0.777], [0.679, 0.912, 0.277], [0.737, 0.614, 0.371], [0.737, 0.886, 0.871], [0.751, 0.056, 0.747], [0.751, 0.444, 0.247], [0.892, 0.737, 0.238], [0.892, 0.763, 0.738], [0.967, 0.579, 0.190], [0.967, 0.921, 0.690]]}

=====

# 8
{"formula": "BaFePO4F2", "functional": "PBE with a Hubbard U", "state": "optimized geometry", "dft_energy_ev_per_cell": -240.87, "magnetic_moment_mub_per_atom": 0.00, "spacegroup": "P2_1/c", "formation_energy_ev_per_atom": -2.969, "cell": [[5.289, 0.000, 0.000], [0.000, 12.978, 0.000], [-3.769, 0.000, 7.123]], "species": ["Ba", "Ba", "Ba", "Ba", "Fe", "Fe", "Fe", "Fe", "P", "P", "P", "P", "O", "O", "O", "O", "O", "O", "O", "O", "O", "O", "O", "O", "O", "O", "O", "O", "F", "F", "F", "F", "F", "F", "F", "F"], "fractional_positions": [[0.149, 0.201, 0.186], [0.149, 0.299, 0.686], [0.851, 0.701, 0.314], [0.851, 0.799, 0.814], [0.000, 0.000, 0.500], [0.000, 0.500, 0.000], [0.500, 0.000, 0.000], [0.500, 0.500, 0.500], [0.373, 0.614, 0.805], [0.373, 0.886, 0.305], [0.627, 0.114, 0.695], [0.627, 0.386, 0.195], [0.231, 0.593, 0.932], [0.231, 0.907, 0.432], [0.279, 0.720, 0.712], [0.279, 0.780, 0.212], [0.293, 0.116, 0.563], [0.293, 0.384, 0.063], [0.300, 0.528, 0.655], [0.300, 0.972, 0.155], [0.700, 0.028, 0.845], [0.700, 0.472, 0.345], [0.707, 0.616, 0.937], [0.707, 0.884, 0.437], [0.721, 0.220, 0.788], [0.721, 0.280, 0.288], [0.769, 0.093, 0.568], [0.769, 0.407, 0.068], [0.182, 0.557, 0.264], [0.182, 0.943, 0.764], [0.332, 0.138, 0.946], [0.332, 0.362, 0.446], [0.668, 0.638, 0.554], [0.668, 0.862, 0.054], [0.818, 0.057, 0.236], [0.818, 0.443, 0.736]]}

=====

# 9
{"formula": "Na2CoPCO7", "functional": "PBE with a Hubbard U", "state": "optimized geometry", "dft_energy_ev_per_cell": -155.60, "magnetic_moment_mub_per_atom": 0.00, "spacegroup": "P2_1/m", "formation_energy_ev_per_atom": -2.101, "cell": [[5.267, 0.000, 0.000], [0.000, 6.442, 0.000], [-0.252, 0.000, 8.963]], "species": ["Na", "Na", "Na", "Na", "Co", "Co", "P", "P", "C", "C", "O", "O", "O", "O", "O", "O", "O", "O", "O", "O", "O", "O", "O", "O"], "fractional_positions": [[0.238, 0.003, 0.266], [0.238, 0.497, 0.266], [0.762, 0.503, 0.734], [0.762, 0.997, 0.734], [0.216, 0.250, 0.849], [0.784, 0.750, 0.151], [0.288, 0.750, 0.927], [0.712, 0.250, 0.073], [0.278, 0.250, 0.575], [0.722, 0.750, 0.425], [0.053, 0.250, 0.634], [0.157, 0.750, 0.078], [0.204, 0.555, 0.835], [0.204, 0.945, 0.835], [0.312, 0.250, 0.437], [0.417, 0.250, 0.051], [0.466, 0.250, 0.674], [0.534, 0.750, 0.326], [0.583, 0.750, 0.949], [0.688, 0.750, 0.563], [0.796, 0.055, 0.165], [0.796, 0.445, 0.165], [0.843, 0.250, 0.922], [0.947, 0.750, 0.366]]}

=====

# 10
{"formula": "K2Cr3Cl2F6", "functional": "PBE with a Hubbard U", "state": "optimized geometry", "dft_energy_ev_per_cell": -141.87, "magnetic_moment_mub_per_atom": 0.92, "spacegroup": "P2_1/c", "formation_energy_ev_per_atom": -2.565, "cell": [[6.659, 0.000, 0.000], [0.000, 11.452, 0.000], [-4.111, 0.000, 6.395]], "species": ["K", "K", "K", "K", "Cr", "Cr", "Cr", "Cr", "Cr", "Cr", "Cl", "Cl", "Cl", "Cl", "F", "F", "F", "F", "F", "F", "F", "F", "F", "F", "F", "F"], "fractional_positions": [[0.197, 0.050, 0.358], [0.197, 0.450, 0.858], [0.803, 0.550, 0.142], [0.803, 0.950, 0.642], [0.339, 0.747, 0.722], [0.339, 0.753, 0.222], [0.500, 0.000, 0.000], [0.500, 0.500, 0.500], [0.661, 0.247, 0.778], [0.661, 0.253, 0.278], [0.168, 0.170, 0.974], [0.168, 0.330, 0.474], [0.832, 0.670, 0.526], [0.832, 0.830, 0.026], [0.240, 0.591, 0.253], [0.240, 0.909, 0.753], [0.357, 0.687, 0.983], [0.357, 0.813, 0.483], [0.443, 0.584, 0.706], [0.443, 0.916, 0.206], [0.557, 0.084, 0.794], [0.557, 0.416, 0.294], [0.643, 0.187, 0.517], [0.643, 0.313, 0.017], [0.760, 0.091, 0.247], [0.760, 0.409, 0.747]]}

=====

# 11
{"formula": "Mn2ZnO4", "functional": "PBE with a Hubbard U", "state": "optimized geometry", "dft_energy_ev_per_cell": -93.82, "relative_energy_mev_per_atom": 37, "magnetic_moment_mub_per_atom": 1.14, "spacegroup": "P-1", "formation_energy_ev_per_atom": -1.945, "cell": [[5.846, 0.000, 0.000], [-0.025, 5.852, 0.000], [-2.881, -2.933, 4.547]], "species": ["Mn", "Mn", "Mn", "Mn", "Zn", "Zn", "O", "O", "O", "O", "O", "O", "O", "O"], "fractional_positions": [[0.000, 0.000, 0.000], [0.000, 0.000, 0.500], [0.000, 0.500, 0.000], [0.500, 0.000, 0.500], [0.379, 0.629, 0.754], [0.621, 0.371, 0.246], [0.210, 0.228, 0.956], [0.223, 0.754, 0.006], [0.249, 0.223, 0.494], [0.249, 0.768, 0.491], [0.751, 0.232, 0.509], [0.751, 0.777, 0.506], [0.777, 0.246, 0.994], [0.790, 0.772, 0.044]]}

=====

# 12
{"formula": "Ho2MgV2O7", "functional": "PBE with a Hubbard U", "state": "optimized geometry", "dft_energy_ev_per_cell": -92.25, "relative_energy_mev_per_atom": 14, "magnetic_moment_mub_per_atom": 0.33, "spacegroup": "C2", "formation_energy_ev_per_atom": -3.074, "cell": [[3.221, -4.955, 0.000], [3.221, 4.955, 0.000], [-1.220, 0.000, 5.323]], "species": ["Ho", "Ho", "Mg", "V", "V", "O", "O", "O", "O", "O", "O", "O"], "fractional_positions": [[0.000, 0.000, 0.000], [0.647, 0.353, 0.000], [0.119, 0.881, 0.500], [0.072, 0.409, 0.615], [0.591, 0.928, 0.385], [0.261, 0.219, 0.754], [0.316, 0.684, 0.500], [0.365, 0.066, 0.227], [0.766, 0.119, 0.729], [0.781, 0.739, 0.246], [0.881, 0.234, 0.271], [0.934, 0.635, 0.773]]}

=====

# 13
{"formula": "CaNdHfFeO6", "functional": "PBE with a Hubbard U", "state": "optimized geometry", "dft_energy_ev_per_cell": -79.70, "magnetic_moment_mub_per_atom": 0.50, "spacegroup": "F-43m", "formation_energy_ev_per_atom": -3.119, "cell": [[0.000, 4.011, 4.011], [4.011, 0.000, 4.011], [4.011, 4.011, 0.000]], "species": ["Ca", "Nd", "Hf", "Fe", "O", "O", "O", "O", "O", "O"], "fractional_positions": [[0.000, 0.000, 0.000], [0.500, 0.500, 0.500], [0.750, 0.750, 0.750], [0.250, 0.250, 0.250], [0.004, 0.004, 0.496], [0.004, 0.496, 0.004], [0.004, 0.496, 0.496], [0.496, 0.004, 0.004], [0.496, 0.004, 0.496], [0.496, 0.496, 0.004]]}

=====

# 14
{"formula": "Mn2F7", "functional": "PBE with a Hubbard U", "state": "optimized geometry", "dft_energy_ev_per_cell": -95.39, "relative_energy_mev_per_atom": 40, "magnetic_moment_mub_per_atom": 0.78, "spacegroup": "C2/c", "formation_energy_ev_per_atom": -2.505, "cell": [[2.613, -4.977, 0.000], [2.613, 4.977, 0.000], [-2.212, 0.000, 9.739]], "species": ["Mn", "Mn", "Mn", "Mn", "F", "F", "F", "F", "F", "F", "F", "F", "F", "F", "F", "F", "F", "F"], "fractional_positions": [[0.180, 0.250, 0.426], [0.250, 0.180, 0.926], [0.750, 0.820, 0.074], [0.820, 0.750, 0.574], [0.018, 0.982, 0.250], [0.028, 0.801, 0.983], [0.114, 0.485, 0.355], [0.199, 0.972, 0.517], [0.424, 0.554, 0.602], [0.446, 0.576, 0.898], [0.485, 0.114, 0.855], [0.515, 0.886, 0.145], [0.554, 0.424, 0.102], [0.576, 0.446, 0.398], [0.801, 0.028, 0.483], [0.886, 0.515, 0.645], [0.972, 0.199, 0.017], [0.982, 0.018, 0.750]]}